1.
First-principles (PBE) data for a relaxed K2ScTlCl6 crystal, as listed in the Materials Project database.

Cell: 7.829 7.829 7.829 Å, 60.00 60.00 60.00°
Element x y z (fractional)
Sc: 0.000 0.000 0.000
Cl: 0.775 0.225 0.775
Cl: 0.775 0.225 0.225
Cl: 0.225 0.775 0.775
Cl: 0.225 0.775 0.225
Cl: 0.775 0.775 0.225
Cl: 0.225 0.225 0.775
Tl: 0.500 0.500 0.500
K: 0.250 0.250 0.250
K: 0.750 0.750 0.750

Computed properties:
For the formation energy, the calculation gives -209 kJ/mol of atoms. Its corrected total energy (MP2020 scheme) is -4.3670 eV/atom.

2.
First-principles (PBE) data for a relaxed NbGaSiS2O12 crystal, as listed in the Materials Project database.

Cell: 8.710 8.746 22.553 Å, 89.51 90.00 119.86°
Element x y z (fractional)
O: 0.821 0.312 0.236
O: 0.969 0.166 0.593
O: 0.505 0.365 0.143
O: 0.156 0.970 0.910
O: 0.538 0.841 0.758
O: 0.157 0.693 0.758
O: 0.204 0.026 0.305
O: 0.199 0.167 0.806
O: 0.510 0.643 0.576
O: 0.362 0.491 0.364
O: 0.124 0.633 0.363
O: 0.156 0.451 0.970
O: 0.633 0.511 0.637
O: 0.476 0.306 0.027
O: 0.824 0.787 0.304
O: 0.487 0.122 0.637
O: 0.634 0.122 0.137
O: 0.200 0.023 0.591
O: 0.536 0.693 0.258
O: 0.128 0.491 0.864
O: 0.696 0.540 0.530
O: 0.295 0.451 0.470
O: 0.647 0.514 0.924
O: 0.364 0.857 0.860
O: 0.844 0.540 0.030
O: 0.029 0.194 0.192
O: 0.690 0.533 0.243
O: 0.494 0.365 0.425
O: 0.822 0.026 0.805
O: 0.133 0.643 0.076
O: 0.017 0.197 0.908
O: 0.968 0.167 0.306
O: 0.692 0.156 0.742
O: 0.702 0.159 0.030
O: 0.878 0.511 0.137
O: 0.547 0.699 0.970
O: 0.028 0.829 0.405
O: 0.196 0.166 0.093
O: 0.457 0.159 0.530
O: 0.464 0.156 0.242
O: 0.794 0.967 0.697
O: 0.801 0.829 0.905
O: 0.871 0.365 0.925
O: 0.493 0.857 0.360
O: 0.030 0.822 0.697
O: 0.358 0.867 0.575
O: 0.860 0.365 0.643
O: 0.635 0.139 0.427
O: 0.302 0.841 0.258
O: 0.510 0.633 0.863
O: 0.963 0.787 0.804
O: 0.843 0.533 0.743
O: 0.509 0.867 0.075
O: 0.830 0.306 0.527
O: 0.305 0.827 0.977
O: 0.491 0.312 0.736
O: 0.356 0.511 0.070
O: 0.155 0.511 0.570
O: 0.312 0.480 0.762
O: 0.793 0.822 0.197
O: 0.165 0.194 0.692
O: 0.504 0.139 0.927
O: 0.826 0.797 0.592
O: 0.168 0.480 0.262
O: 0.521 0.827 0.477
O: 0.180 0.197 0.408
O: 0.173 0.967 0.197
O: 0.970 0.797 0.092
O: 0.867 0.514 0.424
O: 0.823 0.023 0.091
O: 0.152 0.699 0.470
O: 0.815 0.970 0.410
Ga: 0.669 0.340 0.187
Ga: 0.327 0.665 0.022
Ga: 0.984 0.010 0.355
Ga: 0.338 0.665 0.522
Ga: 0.026 0.010 0.855
Ga: 0.671 0.340 0.687
Nb: 0.675 0.325 0.475
Nb: 0.008 0.019 0.642
Nb: 0.650 0.325 0.975
Nb: 0.011 0.019 0.142
Nb: 0.334 0.670 0.809
Nb: 0.337 0.670 0.309
S: 0.719 0.006 0.752
S: 0.663 0.620 0.584
S: 0.659 0.041 0.084
S: 0.288 0.006 0.252
S: 0.718 0.710 0.251
S: 0.049 0.677 0.416
S: 0.046 0.374 0.917
S: 0.956 0.620 0.084
S: 0.382 0.041 0.584
S: 0.628 0.677 0.916
S: 0.991 0.710 0.751
S: 0.328 0.374 0.417
Si: 0.319 0.940 0.919
Si: 0.391 0.355 0.086
Si: 0.621 0.940 0.419
Si: 0.302 0.288 0.751
Si: 0.985 0.288 0.251
Si: 0.963 0.355 0.586

Computed properties:
For the formation energy, the calculation gives -225 kJ/mol of atoms. Its corrected total energy (MP2020 scheme) is -7.4002 eV/atom.

3.
First-principles (PBE) data for a relaxed ZrZnPt2 crystal, as listed in the Materials Project database.

Cell: 4.585 4.585 4.585 Å, 60.00 60.00 60.00°
Element x y z (fractional)
Pt: 0.750 0.750 0.750
Pt: 0.250 0.250 0.250
Zr: 0.000 0.000 0.000
Zn: 0.500 0.500 0.500

Computed properties:
For the formation energy, the calculation gives -79 kJ/mol of atoms.

4.
First-principles (PBE) data for a relaxed CeZr7O16 crystal, as listed in the Materials Project database.

Cell: 7.353 7.353 5.332 Å, 90.00 90.00 90.00°
Element x y z (fractional)
O: 0.755 0.500 0.191
O: 0.265 0.000 0.214
O: 0.000 0.752 0.301
O: 0.732 0.500 0.692
O: 0.500 0.245 0.809
O: 0.000 0.248 0.301
O: 0.752 0.000 0.699
O: 0.500 0.732 0.308
O: 0.268 0.500 0.692
O: 0.000 0.735 0.786
O: 0.245 0.500 0.191
O: 0.000 0.265 0.786
O: 0.248 0.000 0.699
O: 0.735 0.000 0.214
O: 0.500 0.268 0.308
O: 0.500 0.755 0.809
Zr: 0.500 0.000 0.999
Zr: 0.252 0.748 0.500
Zr: 0.748 0.252 0.500
Zr: 0.748 0.748 0.500
Zr: 0.500 0.500 0.000
Zr: 0.000 0.500 0.001
Zr: 0.252 0.252 0.500
Ce: 0.000 0.000 0.000

Computed properties:
For the formation energy, the calculation gives -365 kJ/mol of atoms. Its corrected total energy (MP2020 scheme) is -9.8218 eV/atom.

5.
First-principles (PBE) data for a relaxed CdCoCu3Se4 crystal, as listed in the Materials Project database.

Cell: 5.805 5.805 5.805 Å, 90.00 90.00 90.00°
Element x y z (fractional)
Cu: 0.500 0.000 0.000
Cu: 0.000 0.000 0.500
Cu: 0.000 0.500 0.000
Se: 0.764 0.764 0.236
Se: 0.236 0.764 0.764
Se: 0.764 0.236 0.764
Se: 0.236 0.236 0.236
Cd: 0.500 0.500 0.500
Co: 0.000 0.000 0.000

Computed properties:
For the formation energy, the calculation gives -34 kJ/mol of atoms. Its corrected total energy (MP2020 scheme) is -4.1667 eV/atom.

6.
First-principles (PBE) data for a relaxed Rb4H4C3O10 crystal, as listed in the Materials Project database.

Cell: 6.290 12.468 15.861 Å, 90.00 90.00 90.00°
Element x y z (fractional)
O: 0.477 0.804 0.508
O: 0.977 0.696 0.492
O: 0.364 0.871 0.321
O: 0.431 0.809 0.750
O: 0.758 0.067 0.967
O: 0.620 0.530 0.750
O: 0.523 0.196 0.492
O: 0.636 0.129 0.679
O: 0.477 0.804 0.992
O: 0.864 0.629 0.821
O: 0.279 0.895 0.604
O: 0.023 0.304 0.508
O: 0.279 0.895 0.896
O: 0.120 0.970 0.250
O: 0.977 0.696 0.008
O: 0.636 0.129 0.821
O: 0.758 0.067 0.533
O: 0.523 0.196 0.008
O: 0.069 0.309 0.750
O: 0.023 0.304 0.992
O: 0.779 0.605 0.104
O: 0.221 0.395 0.604
O: 0.242 0.933 0.467
O: 0.380 0.470 0.250
O: 0.742 0.567 0.967
O: 0.258 0.433 0.033
O: 0.779 0.605 0.396
O: 0.221 0.395 0.896
O: 0.136 0.371 0.179
O: 0.931 0.691 0.250
O: 0.258 0.433 0.467
O: 0.569 0.191 0.250
O: 0.880 0.030 0.750
O: 0.136 0.371 0.321
O: 0.864 0.629 0.679
O: 0.721 0.105 0.104
O: 0.242 0.933 0.033
O: 0.364 0.871 0.179
O: 0.742 0.567 0.533
O: 0.721 0.105 0.396
C: 0.339 0.873 0.971
C: 0.839 0.627 0.471
C: 0.161 0.373 0.529
C: 0.280 0.906 0.250
C: 0.161 0.373 0.971
C: 0.720 0.094 0.750
C: 0.661 0.127 0.471
C: 0.661 0.127 0.029
C: 0.839 0.627 0.029
C: 0.339 0.873 0.529
C: 0.780 0.594 0.750
C: 0.220 0.406 0.250
H: 0.294 0.909 0.093
H: 0.794 0.591 0.593
H: 0.871 0.655 0.301
H: 0.129 0.345 0.699
H: 0.629 0.155 0.199
H: 0.794 0.591 0.907
H: 0.294 0.909 0.407
H: 0.706 0.091 0.593
H: 0.371 0.845 0.699
H: 0.129 0.345 0.801
H: 0.871 0.655 0.199
H: 0.629 0.155 0.301
H: 0.206 0.409 0.407
H: 0.371 0.845 0.801
H: 0.706 0.091 0.907
H: 0.206 0.409 0.093
Rb: 0.189 0.125 0.623
Rb: 0.179 0.147 0.372
Rb: 0.311 0.625 0.623
Rb: 0.179 0.147 0.128
Rb: 0.811 0.875 0.123
Rb: 0.689 0.375 0.123
Rb: 0.679 0.353 0.628
Rb: 0.311 0.625 0.877
Rb: 0.821 0.853 0.628
Rb: 0.679 0.353 0.872
Rb: 0.321 0.647 0.372
Rb: 0.811 0.875 0.377
Rb: 0.689 0.375 0.377
Rb: 0.189 0.125 0.877
Rb: 0.821 0.853 0.872
Rb: 0.321 0.647 0.128

Computed properties:
For the formation energy, the calculation gives -179 kJ/mol of atoms. Its corrected total energy (MP2020 scheme) is -6.3644 eV/atom.

7.
First-principles (PBE) data for a relaxed Hf6CCl14 crystal, as listed in the Materials Project database.

Cell: 9.546 9.546 11.543 Å, 90.00 90.00 95.26°
Element x y z (fractional)
C: 0.500 0.500 0.500
C: 0.000 0.000 0.000
Cl: 0.535 0.287 0.254
Cl: 0.153 0.153 0.263
Cl: 0.103 0.603 0.750
Cl: 0.250 0.750 0.500
Cl: 0.115 0.362 0.010
Cl: 0.213 0.965 0.754
Cl: 0.385 0.138 0.510
Cl: 0.035 0.787 0.246
Cl: 0.638 0.885 0.990
Cl: 0.965 0.213 0.754
Cl: 0.653 0.653 0.237
Cl: 0.713 0.465 0.746
Cl: 0.138 0.385 0.510
Cl: 0.362 0.115 0.010
Cl: 0.615 0.862 0.490
Cl: 0.603 0.103 0.750
Cl: 0.250 0.750 0.000
Cl: 0.885 0.638 0.990
Cl: 0.287 0.535 0.254
Cl: 0.465 0.713 0.746
Cl: 0.847 0.847 0.737
Cl: 0.347 0.347 0.763
Cl: 0.897 0.397 0.250
Cl: 0.862 0.615 0.490
Cl: 0.397 0.897 0.250
Cl: 0.750 0.250 0.000
Cl: 0.787 0.035 0.246
Cl: 0.750 0.250 0.500
Hf: 0.682 0.453 0.384
Hf: 0.047 0.818 0.884
Hf: 0.182 0.953 0.116
Hf: 0.318 0.547 0.616
Hf: 0.857 0.857 0.104
Hf: 0.953 0.182 0.116
Hf: 0.643 0.643 0.604
Hf: 0.818 0.047 0.884
Hf: 0.453 0.682 0.384
Hf: 0.143 0.143 0.896
Hf: 0.547 0.318 0.616
Hf: 0.357 0.357 0.396

Computed properties:
For the formation energy, the calculation gives -208 kJ/mol of atoms. Its corrected total energy (MP2020 scheme) is -6.6674 eV/atom.

8.
First-principles (PBE) data for a relaxed Te4Mo3WSe2S2 crystal, as listed in the Materials Project database.

Cell: 3.399 3.399 40.405 Å, 90.00 90.00 120.00°
Element x y z (fractional)
Te: 0.333 0.667 0.518
Te: 0.333 0.667 0.425
Te: 0.000 0.000 0.234
Te: 0.000 0.000 0.327
W: 0.333 0.667 0.658
Mo: 0.000 0.000 0.471
Mo: 0.000 0.000 0.094
Mo: 0.333 0.667 0.281
S: 0.000 0.000 0.620
S: 0.000 0.000 0.695
Se: 0.333 0.667 0.053
Se: 0.333 0.667 0.134

Computed properties:
For the formation energy, the calculation gives -52 kJ/mol of atoms. Its corrected total energy (MP2020 scheme) is -6.6476 eV/atom.